Record 1
Material: MgFe2Cl2O2
Method: DFT, GGA+U
State: optimized geometry

```
MgFe2Cl2O2
1.0
3.708 0.000 0.000
0.000 4.046 0.000
0.000 0.000 7.682
Mg Fe Cl O
1 2 2 2
Direct
0.000 0.000 0.000
0.000 0.500 0.687
0.500 0.000 0.546
0.000 0.000 0.309
0.500 0.500 0.010
0.000 0.000 0.747
0.500 0.500 0.578
```

Output
Its formation energy is -10.383 eV per formula unit. The calculation puts the total magnetization at 8.00 μB/cell. The excess energy over the best structure of this formula in the dataset comes out at 0.0 meV per atom. The value obtained for the calculated total energy is -36.63 eV for the cell shown.

---

Record 2
Material: Li2Mn5Si4O14
Method: DFT, GGA+U
State: optimized geometry

```
Li2Mn5Si4O14
1.0
6.196 -0.824 5.482
-4.712 6.440 5.075
-4.384 -7.418 0.022
Li Mn Si O
4 10 8 28
Direct
0.935 0.292 0.832
0.435 0.792 0.331
0.565 0.208 0.669
0.065 0.708 0.169
0.500 0.500 0.500
0.321 0.774 0.947
0.679 0.226 0.053
0.252 0.377 0.674
0.748 0.623 0.326
0.000 0.000 0.000
0.822 0.274 0.447
0.178 0.726 0.553
0.753 0.877 0.174
0.247 0.123 0.826
0.931 0.575 0.715
0.431 0.075 0.215
0.569 0.925 0.785
0.069 0.425 0.285
0.308 0.489 0.098
0.808 0.989 0.598
0.192 0.011 0.402
0.692 0.511 0.902
0.245 0.640 0.069
0.745 0.140 0.569
0.255 0.860 0.431
0.755 0.360 0.931
0.072 0.723 0.749
0.572 0.223 0.250
0.428 0.777 0.750
0.928 0.277 0.251
0.147 0.386 0.122
0.647 0.886 0.622
0.353 0.114 0.378
0.853 0.614 0.878
0.009 0.418 0.697
0.509 0.918 0.197
0.491 0.082 0.803
0.991 0.582 0.303
0.973 0.059 0.784
0.473 0.559 0.284
0.527 0.441 0.716
0.027 0.941 0.216
0.339 0.364 0.931
0.839 0.864 0.431
0.161 0.136 0.569
0.661 0.636 0.069
0.270 0.028 0.029
0.770 0.528 0.529
0.230 0.472 0.471
0.730 0.972 0.971
```

Output
Its formation energy is -66.909 eV per formula unit. The calculation puts the total magnetization at 0.00 μB/cell. The excess energy over the best structure of this formula in the dataset comes out at 0.0 meV per atom. The value obtained for the calculated total energy is -379.10 eV for the cell shown.

---

Record 3
Material: Li9Mn2Co5O16
Method: DFT, GGA+U
State: optimized geometry

```
Li9Mn2Co5O16
1.0
5.064 0.000 0.000
-1.642 4.850 0.000
-0.436 -0.409 11.718
Li Mn Co O
9 2 5 16
Direct
0.000 0.000 0.000
0.000 0.001 0.248
0.011 0.008 0.738
0.022 0.015 0.483
0.506 0.004 0.610
0.506 0.005 0.870
0.517 0.009 0.356
0.517 0.021 0.126
0.519 0.509 0.240
0.504 0.505 0.741
0.510 0.507 0.995
0.004 0.503 0.867
0.006 0.503 0.609
0.014 0.512 0.365
0.024 0.517 0.128
0.512 0.507 0.482
0.247 0.736 0.489
0.251 0.763 0.233
0.253 0.725 0.981
0.260 0.285 0.372
0.261 0.728 0.736
0.273 0.274 0.622
0.273 0.288 0.860
0.274 0.284 0.100
0.734 0.724 0.625
0.741 0.726 0.868
0.746 0.742 0.106
0.752 0.285 0.995
0.758 0.286 0.750
0.765 0.261 0.501
0.773 0.731 0.374
0.792 0.278 0.247
```

Output
Its formation energy is -57.955 eV per formula unit. The calculation puts the total magnetization at 10.00 μB/cell. The excess energy over the best structure of this formula in the dataset comes out at 53.0 meV per atom. The value obtained for the calculated total energy is -185.65 eV for the cell shown.

---

Record 4
Material: CsFeH4Cl3O2
Method: DFT, GGA+U
State: optimized geometry

```
CsFeH4Cl3O2
1.0
9.058 0.000 0.000
0.000 7.328 0.000
0.000 0.000 11.594
Cs Fe H Cl O
4 4 16 12 8
Direct
0.250 0.000 0.148
0.250 0.000 0.648
0.750 0.000 0.352
0.750 0.000 0.852
0.000 0.471 0.250
0.000 0.529 0.750
0.500 0.471 0.750
0.500 0.529 0.250
0.020 0.312 0.944
0.020 0.688 0.444
0.177 0.308 0.881
0.177 0.692 0.381
0.323 0.308 0.381
0.323 0.692 0.881
0.480 0.312 0.444
0.480 0.688 0.944
0.520 0.312 0.056
0.520 0.688 0.556
0.677 0.308 0.119
0.677 0.692 0.619
0.823 0.308 0.619
0.823 0.692 0.119
0.980 0.312 0.556
0.980 0.688 0.056
0.089 0.231 0.390
0.089 0.769 0.890
0.250 0.500 0.153
0.250 0.500 0.653
0.411 0.231 0.890
0.411 0.769 0.390
0.589 0.231 0.610
0.589 0.769 0.110
0.750 0.500 0.347
0.750 0.500 0.847
0.911 0.231 0.110
0.911 0.769 0.610
0.069 0.316 0.867
0.069 0.684 0.367
0.431 0.316 0.367
0.431 0.684 0.867
0.569 0.316 0.133
0.569 0.684 0.633
0.931 0.316 0.633
0.931 0.684 0.133
```

Output
Its formation energy is -14.579 eV per formula unit. The calculation puts the total magnetization at 16.00 μB/cell. The value obtained for the calculated total energy is -197.31 eV for the cell shown.

---

Record 5
Material: Li3Mn2P2O8F2
Method: DFT, GGA+U
State: optimized geometry

```
Li3Mn2P2O8F2
1.0
13.093 0.000 0.000
0.000 5.121 0.000
-6.545 0.000 11.481
Li Mn P O F
12 8 8 32 8
Direct
0.000 0.012 0.000
0.000 0.988 0.500
0.077 0.479 0.169
0.077 0.521 0.669
0.337 0.473 0.439
0.337 0.527 0.939
0.498 0.016 0.256
0.498 0.984 0.756
0.576 0.478 0.677
0.576 0.522 0.177
0.829 0.478 0.664
0.829 0.522 0.164
0.341 0.476 0.169
0.341 0.524 0.669
0.499 0.032 0.525
0.499 0.968 0.025
0.846 0.481 0.942
0.846 0.519 0.442
0.996 0.021 0.737
0.996 0.979 0.237
0.086 0.483 0.423
0.086 0.517 0.923
0.265 0.034 0.772
0.265 0.966 0.272
0.585 0.474 0.925
0.585 0.526 0.425
0.767 0.031 0.263
0.767 0.969 0.763
0.031 0.387 0.991
0.031 0.613 0.491
0.043 0.374 0.802
0.043 0.626 0.302
0.045 0.195 0.395
0.045 0.805 0.895
0.137 0.071 0.224
0.137 0.929 0.724
0.221 0.497 0.992
0.221 0.503 0.492
0.266 0.338 0.766
0.266 0.662 0.266
0.317 0.085 0.201
0.317 0.915 0.701
0.335 0.066 0.401
0.335 0.934 0.901
0.529 0.387 0.493
0.529 0.613 0.993
0.532 0.406 0.302
0.532 0.594 0.802
0.552 0.181 0.917
0.552 0.819 0.417
0.637 0.063 0.687
0.637 0.937 0.187
0.719 0.482 0.494
0.719 0.518 0.994
0.771 0.336 0.267
0.771 0.664 0.767
0.816 0.082 0.886
0.816 0.918 0.386
0.836 0.086 0.705
0.836 0.914 0.205
0.435 0.249 0.628
0.435 0.751 0.128
0.450 0.260 0.081
0.450 0.740 0.581
0.930 0.274 0.131
0.930 0.726 0.631
0.956 0.242 0.578
0.956 0.758 0.078
```

Output
Its formation energy is -45.423 eV per formula unit. The calculation puts the total magnetization at 36.00 μB/cell. The value obtained for the calculated total energy is -455.83 eV for the cell shown.

---

Record 6
Material: Mn3O2F4
Method: DFT, GGA+U
State: optimized geometry

```
Mn3O2F4
1.0
5.763 0.000 0.000
0.000 4.789 0.000
-0.377 0.000 7.964
Mn O F
6 4 8
Direct
0.079 0.000 0.320
0.244 0.556 0.001
0.416 0.077 0.677
0.584 0.577 0.323
0.756 0.056 0.999
0.921 0.500 0.680
0.202 0.366 0.788
0.277 0.738 0.216
0.723 0.238 0.784
0.798 0.866 0.212
0.049 0.270 0.098
0.111 0.813 0.574
0.364 0.207 0.423
0.454 0.831 0.903
0.546 0.331 0.097
0.636 0.707 0.577
0.889 0.313 0.426
0.951 0.770 0.902
```

Output
Its formation energy is -22.680 eV per formula unit. The excess energy over the best structure of this formula in the dataset comes out at 21.2 meV per atom. The value obtained for the calculated total energy is -118.99 eV for the cell shown.

---

Record 7
Material: Ti2Mn3Cr3O16
Method: DFT, GGA+U
State: optimized geometry

```
Ti2Mn3Cr3O16
1.0
5.047 -2.905 0.000
5.047 2.905 0.000
-0.009 0.000 9.021
Ti Mn Cr O
2 3 3 16
Direct
0.000 0.000 0.000
0.662 0.662 0.499
0.160 0.160 0.717
0.500 0.991 0.218
0.991 0.500 0.218
0.158 0.665 0.714
0.496 0.496 0.215
0.665 0.158 0.714
0.162 0.162 0.105
0.166 0.666 0.108
0.284 0.853 0.839
0.327 0.327 0.321
0.327 0.327 0.819
0.375 0.807 0.339
0.499 0.499 0.608
0.502 0.994 0.606
0.666 0.166 0.108
0.667 0.667 0.107
0.807 0.375 0.339
0.809 0.809 0.341
0.853 0.284 0.839
0.853 0.853 0.839
0.994 0.502 0.606
0.999 0.999 0.606
```

Output
Its formation energy is -53.684 eV per formula unit. The calculation puts the total magnetization at 15.00 μB/cell. The value obtained for the calculated total energy is -183.09 eV for the cell shown.

---

Record 8
Material: K3Nb6VO19
Method: DFT, GGA+U
State: optimized geometry

```
K3Nb6VO19
1.0
9.284 0.000 0.000
-4.642 8.041 0.000
0.000 0.000 24.467
K Nb V O
12 24 4 76
Direct
0.000 0.406 0.241
0.000 0.406 0.759
0.000 0.583 0.000
0.000 0.596 0.500
0.404 0.404 0.500
0.406 0.000 0.241
0.406 0.000 0.759
0.417 0.417 0.000
0.583 0.000 0.000
0.594 0.594 0.241
0.594 0.594 0.759
0.596 0.000 0.500
0.000 0.000 0.199
0.000 0.000 0.801
0.000 0.232 0.078
0.000 0.232 0.922
0.000 0.253 0.422
0.000 0.253 0.578
0.000 0.757 0.326
0.000 0.757 0.674
0.232 0.000 0.078
0.232 0.000 0.922
0.243 0.243 0.326
0.243 0.243 0.674
0.253 0.000 0.422
0.253 0.000 0.578
0.333 0.667 0.369
0.333 0.667 0.631
0.667 0.333 0.369
0.667 0.333 0.631
0.747 0.747 0.422
0.747 0.747 0.578
0.757 0.000 0.326
0.757 0.000 0.674
0.768 0.768 0.078
0.768 0.768 0.922
0.333 0.667 0.119
0.333 0.667 0.881
0.667 0.333 0.119
0.667 0.333 0.881
0.000 0.177 0.158
0.000 0.177 0.842
0.000 0.208 0.500
0.000 0.210 0.339
0.000 0.210 0.661
0.000 0.286 0.000
0.000 0.804 0.409
0.000 0.804 0.591
0.000 0.823 0.254
0.000 0.823 0.746
0.000 0.825 0.067
0.000 0.825 0.933
0.166 0.684 0.324
0.166 0.684 0.676
0.171 0.482 0.421
0.171 0.482 0.579
0.174 0.476 0.092
0.174 0.476 0.908
0.175 0.175 0.067
0.175 0.175 0.933
0.177 0.000 0.158
0.177 0.000 0.842
0.177 0.177 0.254
0.177 0.177 0.746
0.196 0.196 0.409
0.196 0.196 0.591
0.208 0.000 0.500
0.210 0.000 0.339
0.210 0.000 0.661
0.286 0.000 0.000
0.302 0.826 0.092
0.302 0.826 0.908
0.311 0.829 0.421
0.311 0.829 0.579
0.316 0.482 0.324
0.316 0.482 0.676
0.333 0.667 0.187
0.333 0.667 0.813
0.476 0.174 0.092
0.476 0.174 0.908
0.482 0.171 0.421
0.482 0.171 0.579
0.482 0.316 0.324
0.482 0.316 0.676
0.518 0.689 0.421
0.518 0.689 0.579
0.518 0.834 0.324
0.518 0.834 0.676
0.524 0.698 0.092
0.524 0.698 0.908
0.667 0.333 0.187
0.667 0.333 0.813
0.684 0.166 0.324
0.684 0.166 0.676
0.689 0.518 0.421
0.689 0.518 0.579
0.698 0.524 0.092
0.698 0.524 0.908
0.714 0.714 0.000
0.790 0.790 0.339
0.790 0.790 0.661
0.792 0.792 0.500
0.804 0.000 0.409
0.804 0.000 0.591
0.823 0.000 0.254
0.823 0.000 0.746
0.823 0.823 0.158
0.823 0.823 0.842
0.825 0.000 0.067
0.825 0.000 0.933
0.826 0.302 0.092
0.826 0.302 0.908
0.829 0.311 0.421
0.829 0.311 0.579
0.834 0.518 0.324
0.834 0.518 0.676
```

Output
Its formation energy is -83.895 eV per formula unit. The value obtained for the calculated total energy is -944.70 eV for the cell shown.

---

Record 9
Material: Li3CoNi4O8
Method: DFT, GGA+U
State: optimized geometry

```
Li3CoNi4O8
1.0
5.073 -2.879 0.000
5.073 2.879 0.000
-3.325 0.000 4.764
Li Co Ni O
3 1 4 8
Direct
0.000 0.000 0.000
0.000 0.500 0.000
0.500 0.000 0.000
0.500 0.500 0.500
0.000 0.000 0.500
0.000 0.500 0.500
0.500 0.000 0.500
0.500 0.500 0.000
0.250 0.250 0.721
0.263 0.736 0.262
0.264 0.737 0.738
0.270 0.270 0.288
0.730 0.730 0.712
0.736 0.263 0.262
0.737 0.264 0.738
0.750 0.750 0.279
```

Output
Its formation energy is -23.670 eV per formula unit. The calculation puts the total magnetization at 6.00 μB/cell. The value obtained for the calculated total energy is -81.91 eV for the cell shown.